(1)
Compound: LuGa2
Source: the Materials Project database
Functional: r²SCAN
Structure: optimized geometry

a b c (Å): 4.146 5.668 5.668
angles (deg): 73.74 68.54 68.54
Positions (direct):
Lu: 0.561 0.689 0.189
Lu: 0.439 0.311 0.811
Ga: 0.159 0.290 0.391
Ga: 0.841 0.710 0.609
Ga: 0.841 0.109 0.210
Ga: 0.159 0.891 0.790

## Properties
- ΔE_f: -14.96 kcal/mol of atoms
- Calculated volume: 19.0 Å³/atom
- Spin magnetization: 0.000 μB per formula unit

(2)
Compound: Lu5Ga3
Source: the Materials Project database
Functional: r²SCAN
Structure: optimized geometry

a b c (Å): 8.374 8.374 6.270
angles (deg): 90.00 90.00 120.00
Positions (direct):
Lu: 0.667 0.333 0.000
Lu: 0.333 0.667 0.000
Lu: 0.333 0.667 0.500
Lu: 0.667 0.333 0.500
Lu: 0.756 0.756 0.750
Lu: 0.244 0.000 0.750
Lu: 0.000 0.244 0.750
Lu: 0.244 0.244 0.250
Lu: 0.756 0.000 0.250
Lu: 0.000 0.756 0.250
Ga: 0.400 0.400 0.750
Ga: 0.600 0.000 0.750
Ga: 0.000 0.600 0.750
Ga: 0.600 0.600 0.250
Ga: 0.400 0.000 0.250
Ga: 0.000 0.400 0.250

## Properties
- ΔE_f: -13.38 kcal/mol of atoms
- Calculated volume: 23.8 Å³/atom
- Spin magnetization: 0.000 μB per formula unit

(3)
Compound: Lu3Ga2
Source: the Materials Project database
Functional: r²SCAN
Structure: optimized geometry

a b c (Å): 10.745 10.745 10.745
angles (deg): 95.90 116.65 116.65
Positions (direct):
Lu: 0.500 0.855 0.355
Lu: 0.500 0.355 0.855
Lu: 0.500 0.145 0.645
Lu: 0.500 0.645 0.145
Lu: 0.161 0.331 0.831
Lu: 0.839 0.669 0.169
Lu: 0.500 0.169 0.331
Lu: 0.500 0.831 0.669
Lu: 0.730 0.569 0.433
Lu: 0.270 0.703 0.839
Lu: 0.864 0.203 0.933
Lu: 0.136 0.069 0.339
Lu: 0.864 0.433 0.703
Lu: 0.136 0.839 0.569
Lu: 0.730 0.933 0.069
Lu: 0.270 0.339 0.203
Lu: 0.270 0.431 0.567
Lu: 0.730 0.297 0.161
Lu: 0.136 0.797 0.067
Lu: 0.864 0.931 0.661
Lu: 0.136 0.567 0.297
Lu: 0.864 0.161 0.431
Lu: 0.270 0.067 0.931
Lu: 0.730 0.661 0.797
Ga: 0.000 0.750 0.750
Ga: 0.000 0.250 0.250
Ga: 0.000 0.500 0.500
Ga: 0.000 0.000 0.000
Ga: 0.262 0.881 0.381
Ga: 0.738 0.119 0.619
Ga: 0.500 0.619 0.881
Ga: 0.500 0.381 0.119
Ga: 0.146 0.123 0.623
Ga: 0.854 0.476 0.976
Ga: 0.500 0.976 0.123
Ga: 0.500 0.623 0.476
Ga: 0.854 0.877 0.377
Ga: 0.146 0.524 0.024
Ga: 0.500 0.024 0.877
Ga: 0.500 0.377 0.524

## Properties
- ΔE_f: -14.77 kcal/mol of atoms
- Calculated volume: 22.9 Å³/atom
- Spin magnetization: 0.254 μB per formula unit

(4)
Compound: Lu3Ga5Ni
Source: the Materials Project database
Functional: r²SCAN
Structure: optimized geometry

a b c (Å): 6.714 6.714 4.129
angles (deg): 90.00 90.00 120.01
Positions (direct):
Lu: 0.593 0.000 0.500
Lu: 0.407 0.407 0.500
Lu: 0.000 0.593 0.500
Ga: 0.236 0.000 0.000
Ga: 0.000 0.236 0.000
Ga: 0.667 0.333 0.000
Ga: 0.333 0.667 0.000
Ga: 0.764 0.764 0.000
Ni: 0.000 0.000 0.500

## Properties
- ΔE_f: -16.92 kcal/mol of atoms
- Calculated volume: 17.9 Å³/atom
- Spin magnetization: 0.000 μB per formula unit

(5)
Compound: Lu4Ga12Ni
Source: the Materials Project database
Functional: r²SCAN
Structure: optimized geometry

a b c (Å): 7.269 7.269 7.269
angles (deg): 109.47 109.47 109.47
Positions (direct):
Lu: 0.000 0.000 0.500
Lu: 0.000 0.500 0.000
Lu: 0.500 0.000 0.000
Lu: 0.500 0.500 0.500
Ga: 0.750 0.250 0.500
Ga: 0.750 0.500 0.250
Ga: 0.500 0.250 0.750
Ga: 0.250 0.500 0.750
Ga: 0.250 0.750 0.500
Ga: 0.500 0.750 0.250
Ga: 0.712 0.712 0.000
Ga: 0.288 0.000 0.288
Ga: 0.000 0.288 0.288
Ga: 0.288 0.288 0.000
Ga: 0.712 0.000 0.712
Ga: 0.000 0.712 0.712
Ni: 0.000 0.000 0.000

## Properties
- ΔE_f: -12.79 kcal/mol of atoms
- Calculated volume: 17.4 Å³/atom
- Spin magnetization: 0.000 μB per formula unit

(6)
Compound: Lu6GaNi2
Source: the Materials Project database
Functional: r²SCAN
Structure: optimized geometry

a b c (Å): 8.059 8.059 8.059
angles (deg): 111.71 109.83 106.92
Positions (direct):
Lu: 0.434 0.236 0.199
Lu: 0.566 0.764 0.801
Lu: 0.037 0.236 0.801
Lu: 0.963 0.764 0.199
Lu: 0.180 0.283 0.464
Lu: 0.820 0.717 0.536
Lu: 0.180 0.717 0.897
Lu: 0.820 0.283 0.103
Lu: 0.327 0.632 0.304
Lu: 0.673 0.368 0.696
Lu: 0.327 0.023 0.696
Lu: 0.673 0.977 0.304
Ga: 0.500 0.500 0.000
Ga: 0.000 0.000 0.000
Ni: 0.350 0.000 0.350
Ni: 0.650 0.000 0.650
Ni: 0.123 0.623 0.500
Ni: 0.877 0.377 0.500

## Properties
- ΔE_f: -10.08 kcal/mol of atoms
- Calculated volume: 22.3 Å³/atom
- Spin magnetization: 0.000 μB per formula unit

(7)
Compound: Lu2GaNi2
Source: the Materials Project database
Functional: r²SCAN
Structure: optimized geometry

a b c (Å): 4.122 5.182 5.182
angles (deg): 60.65 66.56 66.56
Positions (direct):
Lu: 0.202 0.298 0.298
Lu: 0.798 0.702 0.702
Ga: 0.000 0.000 0.000
Ni: 0.500 0.268 0.732
Ni: 0.500 0.732 0.268

## Properties
- ΔE_f: -14.76 kcal/mol of atoms
- Calculated volume: 17.1 Å³/atom
- Spin magnetization: 0.000 μB per formula unit

(8)
Compound: Lu3Sc2Ga3O12
Source: the Materials Project database
Functional: r²SCAN
Structure: optimized geometry

a b c (Å): 10.684 10.684 10.684
angles (deg): 109.47 109.47 109.47
Positions (direct):
Lu: 0.750 0.125 0.375
Lu: 0.375 0.750 0.125
Lu: 0.125 0.375 0.750
Lu: 0.875 0.750 0.625
Lu: 0.625 0.250 0.875
Lu: 0.625 0.875 0.750
Lu: 0.875 0.625 0.250
Lu: 0.750 0.625 0.875
Lu: 0.250 0.875 0.625
Lu: 0.125 0.250 0.375
Lu: 0.375 0.125 0.250
Lu: 0.250 0.375 0.125
Sc: 0.500 0.000 0.000
Sc: 0.000 0.500 0.000
Sc: 0.000 0.000 0.500
Sc: 0.500 0.000 0.500
Sc: 0.500 0.500 0.000
Sc: 0.000 0.500 0.500
Sc: 0.500 0.500 0.500
Sc: 0.000 0.000 0.000
Ga: 0.875 0.250 0.125
Ga: 0.125 0.875 0.250
Ga: 0.250 0.125 0.875
Ga: 0.125 0.750 0.875
Ga: 0.375 0.250 0.625
Ga: 0.875 0.125 0.750
Ga: 0.625 0.375 0.250
Ga: 0.750 0.875 0.125
Ga: 0.250 0.625 0.375
Ga: 0.750 0.375 0.625
Ga: 0.375 0.625 0.750
Ga: 0.625 0.750 0.375
O: 0.629 0.412 0.094
O: 0.965 0.682 0.094
O: 0.871 0.406 0.088
O: 0.912 0.283 0.318
O: 0.217 0.129 0.035
O: 0.588 0.182 0.217
O: 0.906 0.035 0.318
O: 0.912 0.129 0.594
O: 0.094 0.629 0.412
O: 0.094 0.965 0.682
O: 0.088 0.871 0.406
O: 0.035 0.217 0.129
O: 0.318 0.912 0.283
O: 0.217 0.588 0.182
O: 0.594 0.912 0.129
O: 0.318 0.906 0.035
O: 0.412 0.094 0.629
O: 0.406 0.088 0.871
O: 0.682 0.094 0.965
O: 0.129 0.035 0.217
O: 0.283 0.318 0.912
O: 0.182 0.217 0.588
O: 0.035 0.318 0.906
O: 0.129 0.594 0.912
O: 0.535 0.406 0.818
O: 0.818 0.535 0.406
O: 0.406 0.818 0.535
O: 0.783 0.412 0.818
O: 0.412 0.818 0.783
O: 0.818 0.783 0.412
O: 0.088 0.717 0.682
O: 0.965 0.783 0.871
O: 0.682 0.088 0.717
O: 0.871 0.965 0.783
O: 0.717 0.682 0.088
O: 0.783 0.871 0.965
O: 0.717 0.535 0.629
O: 0.535 0.629 0.717
O: 0.629 0.717 0.535
O: 0.588 0.906 0.371
O: 0.371 0.588 0.906
O: 0.906 0.371 0.588
O: 0.465 0.594 0.182
O: 0.182 0.465 0.594
O: 0.594 0.182 0.465
O: 0.283 0.465 0.371
O: 0.465 0.371 0.283
O: 0.371 0.283 0.465

## Properties
- ΔE_f: -75.65 kcal/mol of atoms
- Calculated volume: 11.7 Å³/atom
- Spin magnetization: 0.000 μB per formula unit

(9)
Compound: LuGa2Pd
Source: the Materials Project database
Functional: r²SCAN
Structure: optimized geometry

a b c (Å): 5.425 5.425 6.510
angles (deg): 90.00 90.00 132.78
Positions (direct):
Lu: 0.587 0.413 0.250
Lu: 0.413 0.587 0.750
Ga: 0.873 0.127 0.447
Ga: 0.127 0.873 0.553
Ga: 0.873 0.127 0.053
Ga: 0.127 0.873 0.947
Pd: 0.298 0.702 0.250
Pd: 0.702 0.298 0.750

## Properties
- ΔE_f: -19.38 kcal/mol of atoms
- Calculated volume: 17.6 Å³/atom
- Spin magnetization: 0.000 μB per formula unit

> Among the records above, which one has the lowest calculated volume?

Lu3Sc2Ga3O12

> Which of these has the highest spin magnetization?

Lu3Ga2